No. 1
Computed, not measured: a relaxed MgIn2Se4 crystal at the r²SCAN level of DFT.

Cell lengths 13.6992, 13.6992, 13.6992 Å; angles 17.18, 17.18, 17.18 degrees
With the nearest neighbours (Å) after each atom.
Fractional coordinates of all 7 atoms:
Mg (0.0000, 0.0000, 0.0000)  6 Se 2.72
In (0.2380, 0.2380, 0.2380)  4 Se 2.50-2.65
In (0.7620, 0.7620, 0.7620)  4 Se 2.50-2.65
Se (0.1252, 0.1252, 0.1252)  3 In 2.65
Se (0.2999, 0.2999, 0.2999)  1 In 2.50, 3 Mg 2.72
Se (0.7001, 0.7001, 0.7001)  1 In 2.50, 3 Mg 2.72
Se (0.8748, 0.8748, 0.8748)  3 In 2.65

Total moment in μB/atom: 0.00
DFT formation energy in eV/atom: -0.9264
Raw total energy in eV/atom: -16.151

=====

No. 2
Computed, not measured: a relaxed MgIn2Se4 crystal at the r²SCAN level of DFT.

Cell lengths 7.0907, 8.1971, 13.7056 Å; angles 81.23, 84.98, 89.98 degrees
With the nearest neighbours (Å) after each atom.
Fractional coordinates of all 28 atoms:
Mg (0.1314, 0.1997, 0.2048)  4 Se 2.54-2.59
Mg (0.2502, 0.3727, 0.4985)  6 Se 2.72-2.75
Mg (0.7498, 0.6273, 0.5015)  6 Se 2.72-2.75
Mg (0.8686, 0.8003, 0.7952)  4 Se 2.54-2.59
In (0.1387, 0.6995, 0.2072)  4 Se 2.56-2.64
In (0.2389, 0.8763, 0.5000)  6 Se 2.73-2.81
In (0.3710, 0.0471, 0.7954)  4 Se 2.58-2.64
In (0.3710, 0.5567, 0.7912)  4 Se 2.56-2.65
In (0.6290, 0.4433, 0.2088)  4 Se 2.56-2.65
In (0.6290, 0.9529, 0.2046)  4 Se 2.58-2.64
In (0.7611, 0.1237, 0.5000)  6 Se 2.73-2.81
In (0.8613, 0.3005, 0.7928)  4 Se 2.56-2.64
Se (0.0993, 0.6472, 0.3967)  2 In 2.56-2.75, 2 Mg 2.73-2.75
Se (0.1057, 0.1545, 0.3934)  2 Mg 2.54-2.72, 2 In 2.73
Se (0.1858, 0.7798, 0.8757)  1 Mg 2.58, 2 In 2.60
Se (0.1868, 0.2823, 0.8739)  3 In 2.64-2.65
Se (0.3102, 0.9720, 0.1241)  1 Mg 2.59, 2 In 2.60
Se (0.3120, 0.4683, 0.1254)  1 Mg 2.59, 2 In 2.60
Se (0.3975, 0.5982, 0.6013)  2 In 2.56-2.77, 2 Mg 2.73-2.75
Se (0.4012, 0.1006, 0.6042)  3 In 2.58-2.81, 1 Mg 2.74
Se (0.5988, 0.8994, 0.3958)  3 In 2.58-2.81, 1 Mg 2.74
Se (0.6025, 0.4018, 0.3987)  2 In 2.56-2.77, 2 Mg 2.73-2.75
Se (0.6880, 0.5317, 0.8746)  1 Mg 2.59, 2 In 2.60
Se (0.6898, 0.0280, 0.8759)  1 Mg 2.59, 2 In 2.60
Se (0.8132, 0.7177, 0.1261)  3 In 2.64-2.65
Se (0.8142, 0.2202, 0.1243)  1 Mg 2.58, 2 In 2.60
Se (0.8943, 0.8455, 0.6066)  2 Mg 2.54-2.72, 2 In 2.73
Se (0.9007, 0.3528, 0.6033)  2 In 2.56-2.75, 2 Mg 2.73-2.75

Total moment in μB/atom: 0.00
DFT formation energy in eV/atom: -0.9303
Raw total energy in eV/atom: -16.155

=====

No. 3
Computed, not measured: a relaxed SmMgIn crystal at the r²SCAN level of DFT.

Cell lengths 7.6178, 7.6178, 4.7245 Å; angles 90.00, 90.00, 120.00 degrees
With the nearest neighbours (Å) after each atom.
Fractional coordinates of all 9 atoms:
Sm (0.0000, 0.5684, 0.0000)  5 In 3.27-3.29, 2 Mg 3.44
Sm (0.4316, 0.4316, 0.0000)  5 In 3.27-3.29, 2 Mg 3.44
Sm (0.5684, 0.0000, 0.0000)  5 In 3.27-3.29, 2 Mg 3.44
Mg (0.0000, 0.2404, 0.5000)  4 In 2.96-2.99, 2 Mg 3.17
Mg (0.2404, 0.0000, 0.5000)  4 In 2.96-2.99, 2 Mg 3.17
Mg (0.7596, 0.7596, 0.5000)  4 In 2.96-2.99, 2 Mg 3.17
In (0.0000, 0.0000, 0.0000)  6 Mg 2.99, 3 Sm 3.29
In (0.3333, 0.6667, 0.5000)  3 Mg 2.96, 6 Sm 3.27
In (0.6667, 0.3333, 0.5000)  3 Mg 2.96, 6 Sm 3.27

Total moment in μB/atom: 0.00
DFT formation energy in eV/atom: -0.5290
Raw total energy in eV/atom: -19.356

=====

No. 4
Computed, not measured: a relaxed TmMgIn crystal at the r²SCAN level of DFT.

Cell lengths 7.4145, 7.4145, 4.6252 Å; angles 90.00, 90.00, 120.00 degrees
With the nearest neighbours (Å) after each atom.
Fractional coordinates of all 9 atoms:
Tm (0.0000, 0.5638, 0.0000)  5 In 3.19-3.23, 2 Mg 3.32
Tm (0.4362, 0.4362, 0.0000)  5 In 3.19-3.23, 2 Mg 3.32
Tm (0.5638, 0.0000, 0.0000)  5 In 3.19-3.23, 2 Mg 3.32
Mg (0.0000, 0.2417, 0.5000)  4 In 2.87-2.93, 2 Mg 3.10
Mg (0.2417, 0.0000, 0.5000)  4 In 2.87-2.93, 2 Mg 3.10
Mg (0.7583, 0.7583, 0.5000)  4 In 2.87-2.93, 2 Mg 3.10
In (0.0000, 0.0000, 0.0000)  6 Mg 2.93, 3 Tm 3.23
In (0.3333, 0.6667, 0.5000)  3 Mg 2.87, 6 Tm 3.19
In (0.6667, 0.3333, 0.5000)  3 Mg 2.87, 6 Tm 3.19

Total moment in μB/atom: 0.00
DFT formation energy in eV/atom: -0.4640
Raw total energy in eV/atom: -21.087

=====

No. 5
Computed, not measured: a relaxed MnIn2O4 crystal at the r²SCAN level of DFT.

Cell lengths 6.3941, 6.3941, 6.3941 Å; angles 60.00, 60.00, 60.00 degrees
With the nearest neighbours (Å) after each atom.
Fractional coordinates of all 14 atoms:
Mn (0.1250, 0.1250, 0.1250)  4 O 2.09
Mn (0.8750, 0.8750, 0.8750)  4 O 2.09
In (0.0000, 0.5000, 0.5000)  6 O 2.19
In (0.5000, 0.0000, 0.5000)  6 O 2.19
In (0.5000, 0.5000, 0.0000)  6 O 2.19
In (0.5000, 0.5000, 0.5000)  6 O 2.19
O (0.2584, 0.2584, 0.2584)  1 Mn 2.09, 3 In 2.19
O (0.2584, 0.2584, 0.7248)  1 Mn 2.09, 3 In 2.19
O (0.2584, 0.7248, 0.2584)  1 Mn 2.09, 3 In 2.19
O (0.2752, 0.7416, 0.7416)  1 Mn 2.09, 3 In 2.19
O (0.7248, 0.2584, 0.2584)  1 Mn 2.09, 3 In 2.19
O (0.7416, 0.2752, 0.7416)  1 Mn 2.09, 3 In 2.19
O (0.7416, 0.7416, 0.2752)  1 Mn 2.09, 3 In 2.19
O (0.7416, 0.7416, 0.7416)  1 Mn 2.09, 3 In 2.19

Total moment in μB/atom: 0.71
DFT formation energy in eV/atom: -1.8861
Raw total energy in eV/atom: -13.848

=====

No. 6
Computed, not measured: a relaxed MnIn2Se2S2 crystal at the r²SCAN level of DFT.

Cell lengths 12.6576, 12.6576, 12.6576 Å; angles 18.43, 18.43, 18.43 degrees
With the nearest neighbours (Å) after each atom.
Fractional coordinates of all 7 atoms:
Mn (0.0000, 0.0000, 0.0000)  3 S 2.39
In (0.2243, 0.2243, 0.2243)  6 Se 2.71-2.83
In (0.4455, 0.4455, 0.4455)  3 S 2.51, 1 Se 2.59
Se (0.5150, 0.5150, 0.5150)  4 In 2.59-2.83
Se (0.9276, 0.9276, 0.9276)  1 Mn 2.70, 3 In 2.71
S (0.0877, 0.0877, 0.0877)  3 In 2.51
S (0.3458, 0.3458, 0.3458)  3 Mn 2.39

Total moment in μB/atom: 0.70
DFT formation energy in eV/atom: -0.7561
Raw total energy in eV/atom: -15.689

=====

No. 7
Computed, not measured: a relaxed RbInMo2O8 crystal at the r²SCAN level of DFT.

Cell lengths 5.8476, 5.8476, 7.5880 Å; angles 90.00, 90.00, 120.00 degrees
With the nearest neighbours (Å) after each atom.
Fractional coordinates of all 12 atoms:
Rb (0.0000, 0.0000, 0.0000)  6 O 3.01
In (0.0000, 0.0000, 0.5000)  6 O 2.13
Mo (0.3333, 0.6667, 0.7450)  4 O 1.72-1.78
Mo (0.6667, 0.3333, 0.2550)  4 O 1.72-1.78
O (0.1668, 0.3337, 0.6714)  1 Mo 1.78
O (0.1668, 0.8332, 0.6714)  1 Mo 1.78
O (0.3333, 0.6667, 0.9715)  1 Mo 1.72
O (0.3337, 0.1668, 0.3286)  1 Mo 1.78
O (0.6663, 0.8332, 0.6714)  1 Mo 1.78
O (0.6667, 0.3333, 0.0285)  1 Mo 1.72
O (0.8332, 0.1668, 0.3286)  1 Mo 1.78
O (0.8332, 0.6663, 0.3286)  1 Mo 1.78

Total moment in μB/atom: 0.00
DFT formation energy in eV/atom: -2.1620
Raw total energy in eV/atom: -13.532

=====

No. 8
Computed, not measured: a relaxed Rb5InMo4O16 crystal at the r²SCAN level of DFT.

Cell lengths 11.4141, 7.9976, 11.0746 Å; angles 90.00, 113.77, 90.00 degrees
With the nearest neighbours (Å) after each atom.
Fractional coordinates of all 52 atoms:
Rb (0.0000, 0.1109, 0.2500)  6 O 2.90-2.96
Rb (0.0000, 0.8891, 0.7500)  6 O 2.90-2.96
Rb (0.0908, 0.3686, 0.6443)  7 O 2.78-3.10
Rb (0.0908, 0.6314, 0.1443)  7 O 2.78-3.10
Rb (0.3957, 0.1547, 0.8446)  5 O 2.75-3.01
Rb (0.3957, 0.8453, 0.3446)  5 O 2.75-3.01
Rb (0.6043, 0.1547, 0.6554)  5 O 2.75-3.01
Rb (0.6043, 0.8453, 0.1554)  5 O 2.75-3.01
Rb (0.9092, 0.3686, 0.8557)  7 O 2.78-3.10
Rb (0.9092, 0.6314, 0.3557)  7 O 2.78-3.10
In (0.5000, 0.4150, 0.2500)  6 O 2.14-2.20
In (0.5000, 0.5850, 0.7500)  6 O 2.14-2.20
Mo (0.2173, 0.1594, 0.0578)  4 O 1.74-1.83
Mo (0.2173, 0.8406, 0.5578)  4 O 1.74-1.83
Mo (0.3038, 0.3525, 0.4433)  4 O 1.73-1.81
Mo (0.3038, 0.6475, 0.9433)  4 O 1.73-1.81
Mo (0.6962, 0.3525, 0.0567)  4 O 1.73-1.81
Mo (0.6962, 0.6475, 0.5567)  4 O 1.73-1.81
Mo (0.7827, 0.1594, 0.4422)  4 O 1.74-1.83
Mo (0.7827, 0.8406, 0.9422)  4 O 1.74-1.83
O (0.1297, 0.2933, 0.1139)  1 Mo 1.74
O (0.1297, 0.7067, 0.6139)  1 Mo 1.74
O (0.1437, 0.4079, 0.3940)  1 Mo 1.74
O (0.1437, 0.5921, 0.8940)  1 Mo 1.74
O (0.1518, 0.1762, 0.8850)  1 Mo 1.76
O (0.1518, 0.8238, 0.3850)  1 Mo 1.76
O (0.1966, 0.0440, 0.6053)  1 Mo 1.75
O (0.1966, 0.9560, 0.1053)  1 Mo 1.75
O (0.3201, 0.1418, 0.4167)  1 Mo 1.73
O (0.3201, 0.8582, 0.9167)  1 Mo 1.73
O (0.3746, 0.4704, 0.3518)  1 Mo 1.80
O (0.3746, 0.5296, 0.8518)  1 Mo 1.80
O (0.3859, 0.2223, 0.1226)  1 Mo 1.83
O (0.3859, 0.3890, 0.6184)  1 Mo 1.81
O (0.3859, 0.6110, 0.1184)  1 Mo 1.81
O (0.3859, 0.7777, 0.6226)  1 Mo 1.83
O (0.6141, 0.2223, 0.3774)  1 Mo 1.83
O (0.6141, 0.3890, 0.8816)  1 Mo 1.81
O (0.6141, 0.6110, 0.3816)  1 Mo 1.81
O (0.6141, 0.7777, 0.8774)  1 Mo 1.83
O (0.6254, 0.4704, 0.1482)  1 Mo 1.80
O (0.6254, 0.5296, 0.6482)  1 Mo 1.80
O (0.6799, 0.1418, 0.0833)  1 Mo 1.73
O (0.6799, 0.8582, 0.5833)  1 Mo 1.73
O (0.8034, 0.0440, 0.8947)  1 Mo 1.75
O (0.8034, 0.9560, 0.3947)  1 Mo 1.75
O (0.8482, 0.1762, 0.6150)  1 Mo 1.76
O (0.8482, 0.8238, 0.1150)  1 Mo 1.76
O (0.8563, 0.4079, 0.1060)  1 Mo 1.74
O (0.8563, 0.5921, 0.6060)  1 Mo 1.74
O (0.8703, 0.2933, 0.3861)  1 Mo 1.74
O (0.8703, 0.7067, 0.8861)  1 Mo 1.74

Total moment in μB/atom: 0.00
DFT formation energy in eV/atom: -2.2470
Raw total energy in eV/atom: -13.481